# MgTe4Mo4Se2S2 | the Materials Project database | PBE | optimized geometry
# Formation energy, eV per atom: -0.49
# V, Å³/f.u.: 429.74
# Relative energy among the computed polymorphs, meV/atom: 0
# Total moment, μB per atom: 0.01
data_MgTe4Mo4Se2S2
_chemical_formula_sum 'Mg2 Te8 Mo8 Se4 S4'
_space_group_name_H-M_alt 'C 1 m 1'
_space_group_IT_number 8
_space_group_name_Hall 'C -2y'
_cell_length_a 5.915
_cell_length_b 3.414
_cell_length_c 42.562
_cell_angle_alpha 90.00
_cell_angle_beta 90.11
_cell_angle_gamma 90.00
loop_
_atom_site_label
_atom_site_type_symbol
_atom_site_fract_x
_atom_site_fract_y
_atom_site_fract_z
Mg1 Mg 0.000 0.000 0.000
Te1 Te 0.330 0.000 0.496
Te2 Te 0.331 0.000 0.583
Te3 Te 0.496 0.500 0.684
Te4 Te 0.498 0.500 0.772
Mo1 Mo 0.330 0.000 0.728
Mo2 Mo 0.331 0.000 0.107
Mo3 Mo 0.497 0.500 0.539
Mo4 Mo 0.498 0.500 0.910
Se1 Se 0.496 0.500 0.068
Se2 Se 0.498 0.500 0.145
S1 S 0.331 0.000 0.875
S2 S 0.331 0.000 0.946